--- 1 ---
LiMnBO3: optimized geometry, GGA+U.

The structure in CIF format:
```
data_LiMnBO3
_chemical_formula_sum 'Li9 Mn9 B9 O27'
_cell_length_a 3.244
_cell_length_b 14.497
_cell_length_c 14.501
_cell_angle_alpha 119.95
_cell_angle_beta 90.05
_cell_angle_gamma 90.05
_space_group_name_H-M_alt 'P 1'
_space_group_IT_number 1
loop_
_space_group_symop_operation_xyz
'x,y,z'
loop_
_atom_site_label
_atom_site_type_symbol
_atom_site_fract_x
_atom_site_fract_y
_atom_site_fract_z
Li1 Li 0.000 0.000 0.000
Li2 Li 0.001 0.331 0.681
Li3 Li 0.003 0.981 0.628
Li4 Li 0.008 0.347 0.992
Li5 Li 0.036 0.328 0.314
Li6 Li 0.943 0.669 0.333
Li7 Li 0.981 0.033 0.331
Li8 Li 0.990 0.684 0.661
Li9 Li 0.998 0.661 0.978
Mn1 Mn 0.436 0.582 0.129
Mn2 Mn 0.473 0.892 0.412
Mn3 Mn 0.483 0.886 0.101
Mn4 Mn 0.487 0.898 0.775
Mn5 Mn 0.497 0.229 0.077
Mn6 Mn 0.506 0.203 0.768
Mn7 Mn 0.510 0.560 0.762
Mn8 Mn 0.521 0.248 0.458
Mn9 Mn 0.542 0.532 0.432
B1 B 0.027 0.449 0.559
B2 B 0.489 0.774 0.535
B3 B 0.491 0.444 0.887
B4 B 0.492 0.781 0.880
B5 B 0.494 0.448 0.213
B6 B 0.497 0.114 0.546
B7 B 0.501 0.126 0.216
B8 B 0.965 0.792 0.211
B9 B 0.993 0.102 0.868
O1 O 0.004 0.111 0.776
O2 O 0.010 0.540 0.659
O3 O 0.021 0.349 0.550
O4 O 0.048 0.458 0.468
O5 O 0.402 0.543 0.976
O6 O 0.419 0.115 0.117
O7 O 0.421 0.872 0.625
O8 O 0.427 0.557 0.258
O9 O 0.455 0.763 0.434
O10 O 0.479 0.100 0.444
O11 O 0.480 0.888 0.959
O12 O 0.481 0.383 0.104
O13 O 0.496 0.701 0.907
O14 O 0.500 0.754 0.773
O15 O 0.505 0.216 0.634
O16 O 0.508 0.026 0.560
O17 O 0.521 0.354 0.897
O18 O 0.528 0.227 0.307
O19 O 0.547 0.435 0.788
O20 O 0.555 0.036 0.226
O21 O 0.575 0.405 0.278
O22 O 0.595 0.686 0.546
O23 O 0.934 0.694 0.203
O24 O 0.975 0.884 0.312
O25 O 0.984 0.002 0.859
O26 O 0.986 0.801 0.120
O27 O 0.992 0.192 0.967
```

Output
- spin magnetization (μB/f.u.) = 5.000
- SG = No. 1

--- 2 ---
LiMnBO3: optimized geometry, GGA+U.

The structure in CIF format:
```
data_LiMnBO3
_chemical_formula_sum 'Li16 Mn16 B16 O48'
_cell_length_a 10.551
_cell_length_b 9.110
_cell_length_c 10.538
_cell_angle_alpha 90.00
_cell_angle_beta 92.21
_cell_angle_gamma 90.00
_space_group_name_H-M_alt 'P 1'
_space_group_IT_number 1
loop_
_space_group_symop_operation_xyz
'x,y,z'
loop_
_atom_site_label
_atom_site_type_symbol
_atom_site_fract_x
_atom_site_fract_y
_atom_site_fract_z
Li1 Li 0.042 0.237 0.338
Li2 Li 0.042 0.263 0.838
Li3 Li 0.205 0.245 0.590
Li4 Li 0.205 0.255 0.090
Li5 Li 0.293 0.739 0.339
Li6 Li 0.293 0.761 0.839
Li7 Li 0.454 0.744 0.590
Li8 Li 0.454 0.756 0.090
Li9 Li 0.546 0.244 0.910
Li10 Li 0.546 0.256 0.410
Li11 Li 0.707 0.239 0.161
Li12 Li 0.707 0.261 0.661
Li13 Li 0.795 0.745 0.910
Li14 Li 0.795 0.755 0.410
Li15 Li 0.958 0.737 0.162
Li16 Li 0.958 0.763 0.662
Mn1 Mn 0.047 0.587 0.881
Mn2 Mn 0.047 0.913 0.381
Mn3 Mn 0.204 0.583 0.622
Mn4 Mn 0.204 0.917 0.122
Mn5 Mn 0.291 0.087 0.873
Mn6 Mn 0.291 0.413 0.373
Mn7 Mn 0.460 0.084 0.630
Mn8 Mn 0.460 0.416 0.130
Mn9 Mn 0.540 0.584 0.870
Mn10 Mn 0.540 0.916 0.370
Mn11 Mn 0.709 0.587 0.627
Mn12 Mn 0.709 0.913 0.127
Mn13 Mn 0.796 0.083 0.878
Mn14 Mn 0.796 0.417 0.378
Mn15 Mn 0.953 0.087 0.619
Mn16 Mn 0.953 0.413 0.119
B1 B 0.042 0.580 0.370
B2 B 0.042 0.920 0.870
B3 B 0.208 0.581 0.131
B4 B 0.208 0.919 0.631
B5 B 0.291 0.081 0.381
B6 B 0.291 0.419 0.881
B7 B 0.459 0.082 0.120
B8 B 0.459 0.418 0.620
B9 B 0.541 0.582 0.380
B10 B 0.541 0.918 0.880
B11 B 0.709 0.581 0.119
B12 B 0.709 0.919 0.619
B13 B 0.792 0.081 0.369
B14 B 0.792 0.419 0.869
B15 B 0.958 0.080 0.130
B16 B 0.958 0.420 0.630
O1 O 0.010 0.557 0.660
O2 O 0.010 0.943 0.160
O3 O 0.032 0.205 0.144
O4 O 0.032 0.295 0.644
O5 O 0.081 0.590 0.090
O6 O 0.081 0.910 0.590
O7 O 0.170 0.592 0.410
O8 O 0.170 0.908 0.910
O9 O 0.214 0.203 0.395
O10 O 0.214 0.297 0.895
O11 O 0.240 0.553 0.840
O12 O 0.240 0.947 0.340
O13 O 0.262 0.056 0.661
O14 O 0.262 0.444 0.161
O15 O 0.281 0.707 0.145
O16 O 0.281 0.793 0.645
O17 O 0.329 0.090 0.088
O18 O 0.329 0.410 0.588
O19 O 0.421 0.092 0.412
O20 O 0.421 0.408 0.912
O21 O 0.465 0.704 0.393
O22 O 0.465 0.796 0.893
O23 O 0.488 0.053 0.840
O24 O 0.488 0.447 0.340
O25 O 0.512 0.553 0.660
O26 O 0.512 0.947 0.160
O27 O 0.535 0.204 0.107
O28 O 0.535 0.296 0.607
O29 O 0.579 0.592 0.088
O30 O 0.579 0.908 0.588
O31 O 0.671 0.590 0.412
O32 O 0.671 0.910 0.912
O33 O 0.719 0.207 0.355
O34 O 0.719 0.293 0.855
O35 O 0.738 0.556 0.839
O36 O 0.738 0.944 0.339
O37 O 0.760 0.053 0.660
O38 O 0.760 0.447 0.160
O39 O 0.786 0.703 0.105
O40 O 0.786 0.797 0.605
O41 O 0.830 0.092 0.090
O42 O 0.830 0.408 0.590
O43 O 0.919 0.090 0.410
O44 O 0.919 0.410 0.910
O45 O 0.968 0.705 0.356
O46 O 0.968 0.795 0.856
O47 O 0.990 0.057 0.840
O48 O 0.990 0.443 0.340
```

Output
- spin magnetization (μB/f.u.) = 5.000
- SG = No. 14

The structure with the least stability is 1.

--- 1 ---
LiCrSi2O6: optimized geometry, GGA+U.

The structure in CIF format:
```
data_LiCrSi2O6
_chemical_formula_sum 'Li4 Cr4 Si8 O24'
_cell_length_a 6.543
_cell_length_b 6.542
_cell_length_c 10.711
_cell_angle_alpha 74.76
_cell_angle_beta 74.81
_cell_angle_gamma 83.69
_space_group_name_H-M_alt 'P 1'
_space_group_IT_number 1
loop_
_space_group_symop_operation_xyz
'x,y,z'
loop_
_atom_site_label
_atom_site_type_symbol
_atom_site_fract_x
_atom_site_fract_y
_atom_site_fract_z
O1 O 0.110 0.629 0.585
O2 O 0.629 0.110 0.835
O3 O 0.799 0.969 0.575
O4 O 0.642 0.646 0.778
O5 O 0.031 0.201 0.675
O6 O 0.642 0.646 0.278
O7 O 0.890 0.371 0.915
O8 O 0.353 0.358 0.972
O9 O 0.358 0.354 0.222
O10 O 0.647 0.642 0.028
O11 O 0.030 0.201 0.175
O12 O 0.201 0.031 0.425
O13 O 0.647 0.642 0.528
O14 O 0.799 0.969 0.075
O15 O 0.629 0.110 0.335
O16 O 0.371 0.890 0.665
O17 O 0.110 0.629 0.085
O18 O 0.201 0.031 0.925
O19 O 0.890 0.371 0.415
O20 O 0.371 0.890 0.165
O21 O 0.969 0.799 0.825
O22 O 0.353 0.358 0.472
O23 O 0.358 0.354 0.722
O24 O 0.970 0.799 0.325
Cr1 Cr 0.907 0.093 0.375
Cr2 Cr 0.093 0.907 0.125
Cr3 Cr 0.093 0.907 0.625
Cr4 Cr 0.907 0.093 0.875
Si1 Si 0.611 0.793 0.133
Si2 Si 0.611 0.793 0.633
Si3 Si 0.207 0.389 0.117
Si4 Si 0.793 0.611 0.383
Si5 Si 0.389 0.207 0.367
Si6 Si 0.793 0.611 0.883
Si7 Si 0.207 0.389 0.617
Si8 Si 0.389 0.207 0.867
Li1 Li 0.741 0.259 0.125
Li2 Li 0.259 0.741 0.375
Li3 Li 0.259 0.741 0.875
Li4 Li 0.741 0.259 0.625
```

Output
- spin magnetization (μB/f.u.) = 0.000

--- 2 ---
LiCrSi2O6: optimized geometry, GGA+U.

The structure in CIF format:
```
data_LiCrSi2O6
_chemical_formula_sum 'Li3 Cr3 Si6 O18'
_cell_length_a 7.019
_cell_length_b 7.338
_cell_length_c 7.407
_cell_angle_alpha 80.93
_cell_angle_beta 61.84
_cell_angle_gamma 77.29
_space_group_name_H-M_alt 'P 1'
_space_group_IT_number 1
loop_
_space_group_symop_operation_xyz
'x,y,z'
loop_
_atom_site_label
_atom_site_type_symbol
_atom_site_fract_x
_atom_site_fract_y
_atom_site_fract_z
Li1 Li 0.000 0.000 0.000
Li2 Li 0.089 0.297 0.244
Li3 Li 0.911 0.703 0.756
Cr1 Cr 0.447 0.728 0.750
Cr2 Cr 0.500 0.000 0.000
Cr3 Cr 0.553 0.272 0.250
Si1 Si 0.186 0.665 0.246
Si2 Si 0.256 0.339 0.783
Si3 Si 0.296 0.894 0.475
Si4 Si 0.704 0.106 0.525
Si5 Si 0.744 0.661 0.217
Si6 Si 0.814 0.335 0.754
O1 O 0.049 0.336 0.742
O2 O 0.132 0.782 0.447
O3 O 0.210 0.929 0.712
O4 O 0.250 0.552 0.813
O5 O 0.257 0.189 0.970
O6 O 0.297 0.451 0.258
O7 O 0.326 0.796 0.043
O8 O 0.361 0.066 0.298
O9 O 0.475 0.263 0.563
O10 O 0.525 0.737 0.437
O11 O 0.639 0.934 0.702
O12 O 0.674 0.204 0.957
O13 O 0.703 0.549 0.742
O14 O 0.743 0.811 0.030
O15 O 0.750 0.448 0.187
O16 O 0.790 0.071 0.288
O17 O 0.868 0.218 0.553
O18 O 0.951 0.664 0.258
```

Output
- spin magnetization (μB/f.u.) = 3.000
- SG = No. 2

The structure with the least stability is 2.

--- 1 ---
GeWO4: optimized geometry, GGA+U.

The structure in CIF format:
```
data_GeWO4
_chemical_formula_sum 'Ge2 W2 O8'
_cell_length_a 5.097
_cell_length_b 6.042
_cell_length_c 5.170
_cell_angle_alpha 90.00
_cell_angle_beta 91.12
_cell_angle_gamma 90.00
_space_group_name_H-M_alt 'P 1'
_space_group_IT_number 1
loop_
_space_group_symop_operation_xyz
'x,y,z'
loop_
_atom_site_label
_atom_site_type_symbol
_atom_site_fract_x
_atom_site_fract_y
_atom_site_fract_z
Ge1 Ge 0.000 0.192 0.250
Ge2 Ge 0.000 0.808 0.750
W1 W 0.500 0.330 0.750
W2 W 0.500 0.670 0.250
O1 O 0.258 0.136 0.613
O2 O 0.258 0.864 0.113
O3 O 0.296 0.402 0.057
O4 O 0.296 0.598 0.557
O5 O 0.704 0.402 0.443
O6 O 0.704 0.598 0.943
O7 O 0.742 0.136 0.887
O8 O 0.742 0.864 0.387
```

Output
- spin magnetization (μB/f.u.) = 0.000
- SG = No. 13

--- 2 ---
GeWO4: optimized geometry, GGA+U.

The structure in CIF format:
```
data_GeWO4
_chemical_formula_sum 'Ge4 W4 O16'
_cell_length_a 5.585
_cell_length_b 11.703
_cell_length_c 5.055
_cell_angle_alpha 90.00
_cell_angle_beta 90.00
_cell_angle_gamma 90.00
_space_group_name_H-M_alt 'P 1'
_space_group_IT_number 1
loop_
_space_group_symop_operation_xyz
'x,y,z'
loop_
_atom_site_label
_atom_site_type_symbol
_atom_site_fract_x
_atom_site_fract_y
_atom_site_fract_z
Ge1 Ge 0.250 0.000 0.170
Ge2 Ge 0.250 0.500 0.330
Ge3 Ge 0.750 0.000 0.830
Ge4 Ge 0.750 0.500 0.670
W1 W 0.141 0.250 0.750
W2 W 0.359 0.750 0.750
W3 W 0.641 0.250 0.250
W4 W 0.859 0.750 0.250
O1 O 0.101 0.099 0.900
O2 O 0.101 0.401 0.600
O3 O 0.130 0.704 0.001
O4 O 0.130 0.796 0.499
O5 O 0.370 0.204 0.499
O6 O 0.370 0.296 0.001
O7 O 0.399 0.599 0.600
O8 O 0.399 0.901 0.900
O9 O 0.601 0.099 0.100
O10 O 0.601 0.401 0.400
O11 O 0.630 0.704 0.999
O12 O 0.630 0.796 0.501
O13 O 0.870 0.204 0.501
O14 O 0.870 0.296 0.999
O15 O 0.899 0.599 0.400
O16 O 0.899 0.901 0.100
```

Output
- spin magnetization (μB/f.u.) = 0.000
- SG = No. 52

The structure with the least stability is 1.

--- 1 ---
SrLaNiO4: optimized geometry, GGA+U.

The structure in CIF format:
```
data_SrLaNiO4
_chemical_formula_sum 'Sr2 La2 Ni2 O8'
_cell_length_a 6.854
_cell_length_b 6.854
_cell_length_c 5.458
_cell_angle_alpha 90.00
_cell_angle_beta 90.00
_cell_angle_gamma 133.20
_space_group_name_H-M_alt 'P 1'
_space_group_IT_number 1
loop_
_space_group_symop_operation_xyz
'x,y,z'
loop_
_atom_site_label
_atom_site_type_symbol
_atom_site_fract_x
_atom_site_fract_y
_atom_site_fract_z
Sr1 Sr 0.107 0.893 0.750
Sr2 Sr 0.893 0.107 0.250
La1 La 0.387 0.613 0.750
La2 La 0.613 0.387 0.250
Ni1 Ni 0.249 0.751 0.250
Ni2 Ni 0.751 0.249 0.750
O1 O 0.000 0.500 0.000
O2 O 0.000 0.500 0.500
O3 O 0.088 0.912 0.250
O4 O 0.424 0.576 0.250
O5 O 0.500 0.000 0.000
O6 O 0.500 0.000 0.500
O7 O 0.576 0.424 0.750
O8 O 0.912 0.088 0.750
```

Output
- spin magnetization (μB/f.u.) = 1.000
- SG = No. 63

--- 2 ---
SrLaNiO4: optimized geometry, GGA+U.

The structure in CIF format:
```
data_SrLaNiO4
_chemical_formula_sum 'Sr2 La2 Ni2 O8'
_cell_length_a 3.864
_cell_length_b 3.864
_cell_length_c 12.473
_cell_angle_alpha 90.00
_cell_angle_beta 90.00
_cell_angle_gamma 90.00
_space_group_name_H-M_alt 'P 1'
_space_group_IT_number 1
loop_
_space_group_symop_operation_xyz
'x,y,z'
loop_
_atom_site_label
_atom_site_type_symbol
_atom_site_fract_x
_atom_site_fract_y
_atom_site_fract_z
Sr1 Sr 0.000 0.000 0.000
Sr2 Sr 0.500 0.500 0.500
La1 La 0.000 0.000 0.279
La2 La 0.500 0.500 0.779
Ni1 Ni 0.000 0.000 0.637
Ni2 Ni 0.500 0.500 0.137
O1 O 0.000 0.000 0.469
O2 O 0.000 0.000 0.803
O3 O 0.000 0.500 0.146
O4 O 0.000 0.500 0.646
O5 O 0.500 0.000 0.146
O6 O 0.500 0.000 0.646
O7 O 0.500 0.500 0.303
O8 O 0.500 0.500 0.969
```

Output
- spin magnetization (μB/f.u.) = 1.006
- SG = No. 107

The structure with the least stability is 1.

--- 1 ---
AlV2O4: optimized geometry, GGA+U.

The structure in CIF format:
```
data_AlV2O4
_chemical_formula_sum 'Al4 V8 O16'
_cell_length_a 5.911
_cell_length_b 5.949
_cell_length_c 10.210
_cell_angle_alpha 106.29
_cell_angle_beta 90.61
_cell_angle_gamma 119.45
_space_group_name_H-M_alt 'P 1'
_space_group_IT_number 1
loop_
_space_group_symop_operation_xyz
'x,y,z'
loop_
_atom_site_label
_atom_site_type_symbol
_atom_site_fract_x
_atom_site_fract_y
_atom_site_fract_z
Al1 Al 0.060 0.121 0.186
Al2 Al 0.437 0.882 0.315
Al3 Al 0.563 0.118 0.685
Al4 Al 0.940 0.879 0.814
V1 V 0.000 0.000 0.500
V2 V 0.000 0.500 0.000
V3 V 0.000 0.500 0.500
V4 V 0.252 0.499 0.751
V5 V 0.500 0.000 0.000
V6 V 0.500 0.500 0.000
V7 V 0.500 0.500 0.500
V8 V 0.748 0.501 0.249
O1 O 0.127 0.245 0.372
O2 O 0.129 0.763 0.376
O3 O 0.130 0.246 0.877
O4 O 0.133 0.758 0.876
O5 O 0.368 0.249 0.121
O6 O 0.375 0.243 0.618
O7 O 0.383 0.760 0.127
O8 O 0.386 0.752 0.624
O9 O 0.614 0.248 0.376
O10 O 0.617 0.240 0.873
O11 O 0.625 0.757 0.382
O12 O 0.632 0.751 0.879
O13 O 0.867 0.242 0.124
O14 O 0.870 0.754 0.123
O15 O 0.871 0.237 0.624
O16 O 0.873 0.755 0.628
```

Output
- spin magnetization (μB/f.u.) = 0.999
- SG = No. 2

--- 2 ---
AlV2O4: optimized geometry, GGA+U.

The structure in CIF format:
```
data_AlV2O4
_chemical_formula_sum 'Al4 V8 O16'
_cell_length_a 5.955
_cell_length_b 6.012
_cell_length_c 8.324
_cell_angle_alpha 89.87
_cell_angle_beta 89.82
_cell_angle_gamma 89.17
_space_group_name_H-M_alt 'P 1'
_space_group_IT_number 1
loop_
_space_group_symop_operation_xyz
'x,y,z'
loop_
_atom_site_label
_atom_site_type_symbol
_atom_site_fract_x
_atom_site_fract_y
_atom_site_fract_z
Al1 Al 0.003 0.248 0.130
Al2 Al 0.497 0.750 0.627
Al3 Al 0.503 0.250 0.373
Al4 Al 0.997 0.752 0.870
V1 V 0.000 0.000 0.500
V2 V 0.000 0.500 0.500
V3 V 0.244 0.252 0.747
V4 V 0.259 0.748 0.244
V5 V 0.500 0.000 0.000
V6 V 0.500 0.500 0.000
V7 V 0.741 0.252 0.756
V8 V 0.756 0.748 0.253
O1 O 0.005 0.001 0.254
O2 O 0.008 0.496 0.251
O3 O 0.245 0.247 0.493
O4 O 0.250 0.751 0.501
O5 O 0.251 0.754 0.991
O6 O 0.252 0.245 0.004
O7 O 0.492 0.504 0.750
O8 O 0.496 0.994 0.754
O9 O 0.504 0.006 0.246
O10 O 0.508 0.496 0.250
O11 O 0.748 0.755 0.996
O12 O 0.749 0.246 0.009
O13 O 0.750 0.249 0.499
O14 O 0.755 0.753 0.507
O15 O 0.992 0.504 0.749
O16 O 0.995 0.999 0.746
```

Output
- spin magnetization (μB/f.u.) = 4.000
- SG = No. 2

The structure with the least stability is 2.